# 1
The following is a DFT calculation (r²SCAN) of an optimized crystal structure of NaEuS2.

a = 4.116 Å, b = 4.116 Å, c = 6.929 Å
α = 72.72°, β = 72.72°, γ = 60.00°
Positions (direct):
S1 0.256 0.256 0.233
Na1 0.500 0.500 0.500
Eu1 0.000 0.000 0.000
S2 0.744 0.744 0.767

Values from the calculation:
Space group: R-3m (166)



# 2
The following is a DFT calculation (r²SCAN) of an optimized crystal structure of Mg5Cd.

a = 8.324 Å, b = 8.324 Å, c = 5.114 Å
α = 90.00°, β = 90.00°, γ = 158.18°
Positions (direct):
Mg1 0.001 0.999 0.000
Mg2 0.667 0.333 0.000
Cd1 0.777 0.223 0.500
Mg3 0.332 0.668 0.000
Mg4 0.442 0.558 0.500
Mg5 0.114 0.886 0.500

Values from the calculation:
Space group: Amm2 (38)



# 3
The following is a DFT calculation (r²SCAN) of an optimized crystal structure of GdAgS2.

a = 7.702 Å, b = 7.704 Å, c = 12.562 Å
α = 89.96°, β = 90.00°, γ = 90.05°
Positions (direct):
S1 0.781 0.028 0.468
S2 0.229 0.477 0.475
S3 0.526 0.727 0.224
S4 0.979 0.774 0.723
Gd1 0.755 0.001 0.248
Ag1 0.515 0.232 0.936
S5 0.474 0.720 0.781
S6 0.224 0.529 0.032
S7 0.033 0.779 0.282
S8 0.974 0.280 0.219
S9 0.532 0.220 0.718
Ag2 0.988 0.271 0.436
S10 0.480 0.227 0.276
Gd2 0.752 0.500 0.747
Ag3 0.267 0.994 0.315
Ag4 0.487 0.728 0.562
Gd3 0.253 0.501 0.253
Gd4 0.504 0.749 0.002
Ag5 0.765 0.005 0.684
S11 0.281 0.972 0.532
Ag6 0.014 0.768 0.066
Gd5 0.004 0.251 0.998
Gd6 0.003 0.751 0.502
Ag7 0.238 0.508 0.815
S12 0.026 0.273 0.776
Gd7 0.503 0.249 0.497
S13 0.277 0.023 0.974
Gd8 0.254 0.000 0.753
Ag8 0.737 0.492 0.187
S14 0.777 0.977 0.026
S15 0.729 0.523 0.526
S16 0.725 0.471 0.968

Values from the calculation:
Space group: P1 (1)



# 4
The following is a DFT calculation (r²SCAN) of an optimized crystal structure of Hf3Ge2.

a = 7.100 Å, b = 7.100 Å, c = 3.701 Å
α = 90.00°, β = 90.00°, γ = 90.00°
Positions (direct):
Hf1 0.000 0.000 0.000
Ge1 0.369 0.869 0.000
Hf2 0.500 0.500 0.000
Hf3 0.670 0.830 0.500
Ge2 0.631 0.131 0.000
Hf4 0.830 0.330 0.500
Hf5 0.170 0.670 0.500
Ge3 0.869 0.631 0.000
Hf6 0.330 0.170 0.500
Ge4 0.131 0.369 0.000

Values from the calculation:
Space group: P4/mbm (127)



# 5
The following is a DFT calculation (r²SCAN) of an optimized crystal structure of ThNi2P2.

a = 3.909 Å, b = 8.296 Å, c = 9.759 Å
α = 90.00°, β = 90.00°, γ = 90.00°
Positions (direct):
Ni1 0.750 0.583 0.049
P1 0.750 0.473 0.839
P2 0.250 0.645 0.550
Ni2 0.750 0.544 0.622
Th1 0.250 0.260 0.670
Ni3 0.750 0.083 0.451
P3 0.250 0.027 0.339
Ni4 0.250 0.417 0.951
Th2 0.250 0.760 0.830
P4 0.750 0.855 0.050
P5 0.250 0.145 0.950
Th3 0.750 0.240 0.170
P6 0.750 0.355 0.450
P7 0.250 0.527 0.161
Th4 0.750 0.740 0.330
Ni5 0.250 0.956 0.122
P8 0.750 0.973 0.661
Ni6 0.250 0.456 0.378
Ni7 0.750 0.044 0.878
Ni8 0.250 0.917 0.549

Values from the calculation:
Space group: Pnma (62)



# 6
The following is a DFT calculation (r²SCAN) of an optimized crystal structure of Ba4Nb14O23.

a = 12.237 Å, b = 12.237 Å, c = 4.186 Å
α = 90.00°, β = 90.00°, γ = 118.23°
Positions (direct):
Ba1 0.433 0.229 0.000
O1 0.865 0.468 0.500
O2 0.029 0.637 0.000
Ba2 0.229 0.433 0.000
O3 0.363 0.971 0.000
O4 0.100 0.900 0.000
O5 0.404 0.596 0.500
Nb1 0.703 0.297 0.500
Nb2 0.042 0.640 0.500
Nb3 0.163 0.163 0.500
Nb4 0.640 0.042 0.500
O6 0.829 0.829 0.000
Nb5 0.297 0.703 0.500
O7 0.661 0.661 0.500
O8 0.971 0.363 0.000
O9 0.532 0.135 0.500
O10 0.730 0.930 0.500
Nb6 0.000 0.000 0.000
Nb7 0.837 0.837 0.500
O11 0.596 0.404 0.500
Nb8 0.360 0.958 0.500
O12 0.171 0.171 0.000
O13 0.468 0.865 0.500
O14 0.930 0.730 0.500
Nb9 0.203 0.797 0.000
Ba3 0.567 0.771 0.000
O15 0.070 0.270 0.500
O16 0.500 0.500 0.000
Nb10 0.797 0.203 0.000
O17 0.304 0.696 0.000
O18 0.900 0.100 0.000
Nb11 0.958 0.360 0.500
O19 0.637 0.029 0.000
O20 0.270 0.070 0.500
Nb12 0.901 0.099 0.500
O21 0.696 0.304 0.000
Nb13 0.500 0.500 0.500
Nb14 0.099 0.901 0.500
O22 0.135 0.532 0.500
O23 0.339 0.339 0.500
Ba4 0.771 0.567 0.000

Values from the calculation:
Space group: Cmmm (65)



# 7
The following is a DFT calculation (r²SCAN) of an optimized crystal structure of PuAl3Pd2.

a = 5.412 Å, b = 5.412 Å, c = 4.195 Å
α = 90.00°, β = 90.00°, γ = 120.00°
Positions (direct):
Pu1 0.000 0.000 0.000
Al1 0.500 0.500 0.500
Pd1 0.333 0.667 0.000
Al2 0.500 0.000 0.500
Al3 0.000 0.500 0.500
Pd2 0.667 0.333 0.000

Values from the calculation:
Space group: P6/mmm (191)



# 8
The following is a DFT calculation (r²SCAN) of an optimized crystal structure of NdNi2Ge2.

a = 4.126 Å, b = 4.126 Å, c = 5.695 Å
α = 111.24°, β = 111.24°, γ = 90.00°
Positions (direct):
Ni1 0.750 0.250 0.500
Ge1 0.633 0.633 0.267
Ge2 0.367 0.367 0.733
Ni2 0.250 0.750 0.500
Nd1 0.000 0.000 0.000

Values from the calculation:
Space group: I4/mmm (139)



# 9
The following is a DFT calculation (r²SCAN) of an optimized crystal structure of Li2DyIn.

a = 4.818 Å, b = 4.818 Å, c = 4.818 Å
α = 60.00°, β = 60.00°, γ = 60.00°
Positions (direct):
In1 0.750 0.750 0.750
Dy1 0.250 0.250 0.250
Li1 0.000 0.000 0.000
Li2 0.500 0.500 0.500

Values from the calculation:
Space group: Fm-3m (225)



# 10
The following is a DFT calculation (r²SCAN) of an optimized crystal structure of CaFe2P2O9.

a = 6.404 Å, b = 7.283 Å, c = 14.291 Å
α = 90.00°, β = 90.00°, γ = 90.00°
Positions (direct):
O1 0.750 0.621 0.558
O2 0.750 0.176 0.977
Ca1 0.250 0.891 0.782
O3 0.250 0.547 0.759
O4 0.439 0.881 0.635
O5 0.447 0.112 0.127
O6 0.439 0.619 0.135
Ca2 0.750 0.109 0.218
Fe1 0.500 0.500 0.500
P1 0.750 0.368 0.930
O7 0.750 0.786 0.248
O8 0.061 0.619 0.135
O9 0.061 0.881 0.635
O10 0.553 0.612 0.373
P2 0.250 0.114 0.189
O11 0.750 0.324 0.477
O12 0.250 0.953 0.259
P3 0.750 0.886 0.811
O13 0.939 0.119 0.365
Fe2 0.000 0.500 0.500
O14 0.750 0.879 0.058
Fe3 0.750 0.855 0.620
O15 0.561 0.381 0.865
O16 0.250 0.489 0.994
O17 0.250 0.286 0.252
O18 0.250 0.379 0.442
Ca3 0.250 0.609 0.282
O19 0.561 0.119 0.365
O20 0.250 0.214 0.752
O21 0.750 0.453 0.241
O22 0.947 0.888 0.873
Fe4 0.250 0.145 0.380
P4 0.250 0.868 0.570
O23 0.750 0.989 0.506
P5 0.750 0.614 0.311
O24 0.939 0.381 0.865
O25 0.553 0.888 0.873
Fe5 0.750 0.645 0.120
Ca4 0.750 0.391 0.718
O26 0.250 0.011 0.494
Fe6 0.250 0.355 0.880
O27 0.250 0.824 0.023
Fe7 0.000 0.000 0.000
O28 0.947 0.612 0.373
O29 0.250 0.676 0.523
P6 0.250 0.632 0.070
O30 0.750 0.714 0.748
Fe8 0.500 0.000 0.000
O31 0.053 0.112 0.127
O32 0.053 0.388 0.627
O33 0.750 0.511 0.006
O34 0.250 0.121 0.942
P7 0.750 0.132 0.430
O35 0.750 0.047 0.741
P8 0.250 0.386 0.689
O36 0.447 0.388 0.627

Values from the calculation:
Space group: Pnma (62)



# 11
The following is a DFT calculation (r²SCAN) of an optimized crystal structure of Cu2AsO5.

a = 5.745 Å, b = 8.103 Å, c = 8.753 Å
α = 90.00°, β = 90.00°, γ = 90.00°
Positions (direct):
As1 0.000 0.737 0.749
O1 0.756 0.851 0.763
O2 0.500 0.908 0.392
As2 0.500 0.763 0.249
O3 0.000 0.592 0.892
O4 0.744 0.649 0.263
O5 0.244 0.851 0.763
O6 0.000 0.128 0.932
O7 0.744 0.351 0.737
O8 0.244 0.149 0.237
Cu1 0.500 0.852 0.610
O9 0.500 0.136 0.925
O10 0.000 0.636 0.575
O11 0.000 0.364 0.425
O12 0.256 0.351 0.737
Cu2 0.752 0.000 0.000
Cu3 0.248 0.000 0.000
O13 0.756 0.149 0.237
O14 0.000 0.872 0.068
Cu4 0.252 0.500 0.500
As3 0.000 0.263 0.251
As4 0.500 0.237 0.751
O15 0.500 0.372 0.432
Cu5 0.000 0.648 0.110
O16 0.500 0.092 0.608
O17 0.500 0.628 0.568
O18 0.256 0.649 0.263
Cu6 0.500 0.148 0.390
O19 0.000 0.408 0.108
Cu7 0.748 0.500 0.500
Cu8 0.000 0.352 0.890
O20 0.500 0.864 0.075

Values from the calculation:
Distance to the lowest polymorph of the same formula in meV per atom: 3
Space group: Pnnm (58)



# 12
The following is a DFT calculation (r²SCAN) of an optimized crystal structure of Er5Co4Si14.

a = 7.757 Å, b = 7.682 Å, c = 12.336 Å
α = 81.30°, β = 90.00°, γ = 90.00°
Positions (direct):
Si1 0.000 0.386 0.944
Er1 0.252 0.158 0.863
Si2 0.494 0.732 0.676
Si3 0.774 0.550 0.324
Er2 0.748 0.842 0.137
Er3 0.751 0.161 0.864
Si4 0.726 0.963 0.676
Er4 0.248 0.658 0.863
Co1 0.500 0.440 0.748
Co2 0.628 0.129 0.500
Si5 0.506 0.268 0.324
Si6 0.000 0.108 0.061
Si7 0.164 0.663 0.500
Si8 0.006 0.318 0.323
Si9 0.500 0.886 0.944
Si10 0.664 0.837 0.500
Si11 0.836 0.337 0.500
Si12 0.494 0.818 0.323
Er5 0.752 0.342 0.137
Co3 0.372 0.871 0.500
Si13 0.000 0.614 0.056
Co4 0.000 0.940 0.748
Si14 0.506 0.182 0.677
Si15 0.336 0.163 0.500
Si16 0.226 0.537 0.324
Er6 0.749 0.661 0.864
Si17 0.274 0.950 0.676
Er7 0.249 0.839 0.136
Er8 0.251 0.339 0.136
Si18 0.500 0.392 0.939
Si19 0.226 0.450 0.676
Co5 0.000 0.060 0.252
Co6 0.872 0.629 0.500
Si20 0.000 0.892 0.939
Si21 0.274 0.037 0.324
Si22 0.500 0.608 0.061
Si23 0.994 0.682 0.677
Si24 0.774 0.463 0.676
Si25 0.006 0.232 0.676
Co7 0.128 0.371 0.500
Er9 0.000 0.000 0.500
Si26 0.500 0.114 0.056
Si27 0.726 0.050 0.324
Co8 0.500 0.560 0.252
Er10 0.500 0.500 0.500
Si28 0.994 0.768 0.324

Values from the calculation:
Space group: P2_1/c (14)



# 13
The following is a DFT calculation (r²SCAN) of an optimized crystal structure of Gd2MgCd.

a = 5.357 Å, b = 5.357 Å, c = 5.357 Å
α = 60.00°, β = 60.00°, γ = 60.00°
Positions (direct):
Gd1 0.750 0.750 0.750
Cd1 0.500 0.500 0.500
Gd2 0.250 0.250 0.250
Mg1 0.000 0.000 0.000

Values from the calculation:
Space group: Fm-3m (225)



# 14
The following is a DFT calculation (r²SCAN) of an optimized crystal structure of K2NiF4.

a = 7.089 Å, b = 7.089 Å, c = 7.089 Å
α = 147.21°, β = 147.21°, γ = 47.06°
Positions (direct):
F1 0.154 0.154 0.000
F2 0.000 0.500 0.500
K1 0.355 0.355 0.000
K2 0.645 0.645 0.000
F3 0.846 0.846 0.000
Ni1 0.000 0.000 0.000
F4 0.500 0.000 0.500

Values from the calculation:
Space group: I4/mmm (139)



# 15
The following is a DFT calculation (r²SCAN) of an optimized crystal structure of EuAu3.

a = 6.484 Å, b = 6.484 Å, c = 4.788 Å
α = 90.00°, β = 90.00°, γ = 120.00°
Positions (direct):
Eu1 0.667 0.333 0.250
Eu2 0.333 0.667 0.750
Au1 0.697 0.849 0.250
Au2 0.151 0.303 0.250
Au3 0.849 0.151 0.750
Au4 0.303 0.151 0.750
Au5 0.151 0.849 0.250
Au6 0.849 0.697 0.750

Values from the calculation:
Space group: P6_3/mmc (194)



# 16
The following is a DFT calculation (r²SCAN) of an optimized crystal structure of V2OsW.

a = 4.294 Å, b = 4.294 Å, c = 4.294 Å
α = 60.00°, β = 60.00°, γ = 60.00°
Positions (direct):
Os1 0.500 0.500 0.500
W1 0.000 0.000 0.000
V1 0.250 0.250 0.250
V2 0.750 0.750 0.750

Values from the calculation:
Space group: Fm-3m (225)



# 17
The following is a DFT calculation (r²SCAN) of an optimized crystal structure of PmCl2.

a = 7.080 Å, b = 7.080 Å, c = 3.517 Å
α = 90.00°, β = 90.00°, γ = 90.00°
Positions (direct):
Cl1 0.279 0.279 0.000
Cl2 0.721 0.721 0.000
Cl3 0.779 0.221 0.500
Pm1 0.000 0.000 0.000
Cl4 0.221 0.779 0.500
Pm2 0.500 0.500 0.500

Values from the calculation:
Space group: P4_2/mnm (136)



no.,ρ (Mg/m³),E (Ry/atom),formation enthalpy at 0 K (eV per atom)
1,4.2,-1.1972,-1.75
2,2.9,-0.5036,-0.03
3,5.9,-1.5758,-1.23
4,12.1,-2.4553,-0.77
5,8.6,-1.7782,-1.10
6,6.7,-1.2513,-2.64
7,8.4,-1.9263,-0.80
8,8.1,-1.2450,-0.71
9,6.1,-1.1182,-0.38
10,3.6,-0.7410,-2.39
11,4.6,-0.6782,-0.94
12,6.7,-1.1502,-0.63
13,6.9,-2.0569,-0.22
14,3.4,-0.5830,-2.71
15,14.2,-3.5409,-0.61
16,14.1,-2.4574,-0.30
17,4.1,-1.1857,-2.18